(1)
# Ce2In2PdRh (PBE, optimized geometry)
data_Ce2In2PdRh
_chemical_formula_sum 'Ce6 In6 Pd3 Rh3'
_space_group_name_H-M_alt 'P 1'
_space_group_IT_number 1
_space_group_name_Hall 'P 1'
_cell_length_a 7.685
_cell_length_b 4.097
_cell_length_c 13.139
_cell_angle_alpha 90.00
_cell_angle_beta 90.01
_cell_angle_gamma 90.00
loop_
_atom_site_label
_atom_site_type_symbol
_atom_site_fract_x
_atom_site_fract_y
_atom_site_fract_z
Ce1 Ce 0.000 0.000 0.000
Ce2 Ce 0.007 0.000 0.590
Ce3 Ce 0.112 0.000 0.303
Ce4 Ce 0.490 0.000 0.498
Ce5 Ce 0.499 0.000 0.095
Ce6 Ce 0.609 0.000 0.796
In1 In 0.328 0.500 0.672
In2 In 0.328 0.500 0.922
In3 In 0.450 0.500 0.298
In4 In 0.827 0.500 0.422
In5 In 0.830 0.500 0.173
In6 In 0.951 0.500 0.796
Pd1 Pd 0.202 0.500 0.131
Pd2 Pd 0.701 0.500 0.964
Pd3 Pd 0.702 0.500 0.631
Rh1 Rh 0.198 0.000 0.797
Rh2 Rh 0.202 0.500 0.464
Rh3 Rh 0.697 0.000 0.297
# SG: Pm (6)
# Calculated density: 8662 kg/m³
# ΔE_f: -4.22 eV per formula unit
# Total magnetization: 1.11 μB/f.u.

(2)
# Y4CuTe8 (PBE, optimized geometry)
data_Y4CuTe8
_chemical_formula_sum 'Y8 Cu2 Te16'
_space_group_name_H-M_alt 'P 1'
_space_group_IT_number 1
_space_group_name_Hall 'P 1'
_cell_length_a 11.223
_cell_length_b 6.102
_cell_length_c 15.400
_cell_angle_alpha 90.00
_cell_angle_beta 133.03
_cell_angle_gamma 90.00
loop_
_atom_site_label
_atom_site_type_symbol
_atom_site_fract_x
_atom_site_fract_y
_atom_site_fract_z
Y1 Y 0.000 0.001 0.000
Y2 Y 0.000 0.999 0.500
Y3 Y 0.368 0.494 0.680
Y4 Y 0.368 0.506 0.180
Y5 Y 0.492 0.002 0.495
Y6 Y 0.492 0.998 0.995
Y7 Y 0.871 0.498 0.689
Y8 Y 0.871 0.502 0.189
Cu1 Cu 0.719 0.303 0.440
Cu2 Cu 0.719 0.697 0.940
Te1 Te 0.020 0.495 0.081
Te2 Te 0.020 0.505 0.581
Te3 Te 0.178 0.249 0.427
Te4 Te 0.178 0.751 0.927
Te5 Te 0.186 0.255 0.930
Te6 Te 0.186 0.745 0.430
Te7 Te 0.344 0.004 0.239
Te8 Te 0.344 0.996 0.739
Te9 Te 0.513 0.498 0.439
Te10 Te 0.513 0.502 0.939
Te11 Te 0.680 0.250 0.252
Te12 Te 0.680 0.750 0.752
Te13 Te 0.683 0.245 0.751
Te14 Te 0.683 0.755 0.251
Te15 Te 0.846 0.001 0.608
Te16 Te 0.846 0.999 0.108
# SG: Pc (7)
# Calculated density: 6202 kg/m³
# ΔE_f: -17.60 eV per formula unit
# Total magnetization: 0.00 μB/f.u.

(3)
# KYB4H16 (PBE, optimized geometry)
data_KYB4H16
_chemical_formula_sum 'K2 Y2 B8 H32'
_space_group_name_H-M_alt 'P 1'
_space_group_IT_number 1
_space_group_name_Hall 'P 1'
_cell_length_a 7.915
_cell_length_b 7.915
_cell_length_c 9.878
_cell_angle_alpha 90.00
_cell_angle_beta 90.00
_cell_angle_gamma 112.09
loop_
_atom_site_label
_atom_site_type_symbol
_atom_site_fract_x
_atom_site_fract_y
_atom_site_fract_z
K1 K 0.000 0.000 0.000
K2 K 0.000 0.000 0.500
Y1 Y 0.364 0.636 0.750
Y2 Y 0.636 0.364 0.250
B1 B 0.246 0.297 0.750
B2 B 0.258 0.742 0.544
B3 B 0.258 0.742 0.956
B4 B 0.297 0.246 0.250
B5 B 0.703 0.754 0.750
B6 B 0.742 0.258 0.044
B7 B 0.742 0.258 0.456
B8 B 0.754 0.703 0.250
H1 H 0.118 0.351 0.750
H2 H 0.130 0.643 0.616
H3 H 0.130 0.643 0.884
H4 H 0.133 0.197 0.250
H5 H 0.197 0.133 0.750
H6 H 0.205 0.795 0.055
H7 H 0.205 0.795 0.445
H8 H 0.341 0.363 0.649
H9 H 0.341 0.363 0.851
H10 H 0.350 0.650 0.513
H11 H 0.350 0.650 0.987
H12 H 0.351 0.118 0.250
H13 H 0.357 0.870 0.616
H14 H 0.357 0.870 0.884
H15 H 0.363 0.341 0.149
H16 H 0.363 0.341 0.351
H17 H 0.637 0.659 0.649
H18 H 0.637 0.659 0.851
H19 H 0.643 0.130 0.116
H20 H 0.643 0.130 0.384
H21 H 0.649 0.882 0.750
H22 H 0.650 0.350 0.013
H23 H 0.650 0.350 0.487
H24 H 0.659 0.637 0.149
H25 H 0.659 0.637 0.351
H26 H 0.795 0.205 0.555
H27 H 0.795 0.205 0.945
H28 H 0.803 0.867 0.250
H29 H 0.867 0.803 0.750
H30 H 0.870 0.357 0.116
H31 H 0.870 0.357 0.384
H32 H 0.882 0.649 0.250
# SG: Cmcm (63)
# Calculated density: 1085 kg/m³
# ΔE_f: -9.79 eV per formula unit
# Total magnetization: 0.00 μB/f.u.

(4)
# Sm7Pt3 (PBE, optimized geometry)
data_Sm7Pt3
_chemical_formula_sum 'Sm14 Pt6'
_space_group_name_H-M_alt 'P 1'
_space_group_IT_number 1
_space_group_name_Hall 'P 1'
_cell_length_a 10.063
_cell_length_b 10.063
_cell_length_c 6.444
_cell_angle_alpha 90.00
_cell_angle_beta 90.00
_cell_angle_gamma 119.88
loop_
_atom_site_label
_atom_site_type_symbol
_atom_site_fract_x
_atom_site_fract_y
_atom_site_fract_z
Sm1 Sm 0.038 0.576 0.500
Sm2 Sm 0.038 0.962 0.500
Sm3 Sm 0.167 0.833 0.986
Sm4 Sm 0.245 0.373 0.694
Sm5 Sm 0.373 0.245 0.194
Sm6 Sm 0.373 0.627 0.193
Sm7 Sm 0.424 0.962 0.500
Sm8 Sm 0.576 0.038 0.000
Sm9 Sm 0.627 0.373 0.693
Sm10 Sm 0.627 0.755 0.694
Sm11 Sm 0.755 0.627 0.194
Sm12 Sm 0.833 0.167 0.486
Sm13 Sm 0.962 0.038 0.000
Sm14 Sm 0.962 0.424 0.000
Pt1 Pt 0.122 0.311 0.253
Pt2 Pt 0.311 0.122 0.753
Pt3 Pt 0.311 0.689 0.753
Pt4 Pt 0.689 0.311 0.253
Pt5 Pt 0.689 0.878 0.253
Pt6 Pt 0.878 0.689 0.753
# SG: Cmc2_1 (36)
# Calculated density: 9613 kg/m³
# ΔE_f: -7.69 eV per formula unit
# Total magnetization: 0.00 μB/f.u.

(5)
# Mg3Bi3N5 (PBE, optimized geometry)
data_Mg3Bi3N5
_chemical_formula_sum 'Mg6 Bi6 N10'
_space_group_name_H-M_alt 'P 1'
_space_group_IT_number 1
_space_group_name_Hall 'P 1'
_cell_length_a 6.187
_cell_length_b 7.935
_cell_length_c 8.734
_cell_angle_alpha 98.03
_cell_angle_beta 104.05
_cell_angle_gamma 94.39
loop_
_atom_site_label
_atom_site_type_symbol
_atom_site_fract_x
_atom_site_fract_y
_atom_site_fract_z
Mg1 Mg 0.104 0.188 0.051
Mg2 Mg 0.126 0.394 0.741
Mg3 Mg 0.275 0.479 0.413
Mg4 Mg 0.725 0.521 0.587
Mg5 Mg 0.874 0.606 0.259
Mg6 Mg 0.896 0.812 0.949
Bi1 Bi 0.226 0.987 0.389
Bi2 Bi 0.280 0.756 0.715
Bi3 Bi 0.366 0.598 0.117
Bi4 Bi 0.634 0.402 0.883
Bi5 Bi 0.720 0.244 0.285
Bi6 Bi 0.774 0.013 0.611
N1 N 0.007 0.367 0.223
N2 N 0.142 0.955 0.144
N3 N 0.145 0.731 0.444
N4 N 0.318 0.344 0.959
N5 N 0.413 0.498 0.661
N6 N 0.587 0.502 0.339
N7 N 0.682 0.656 0.041
N8 N 0.855 0.269 0.556
N9 N 0.858 0.045 0.856
N10 N 0.993 0.633 0.777
# SG: P-1 (2)
# Calculated density: 6249 kg/m³
# ΔE_f: -1.12 eV per formula unit
# Total magnetization: 0.00 μB/f.u.

(6)
# InI4N (PBE, optimized geometry)
data_InI4N
_chemical_formula_sum 'In4 I16 N4'
_space_group_name_H-M_alt 'P 1'
_space_group_IT_number 1
_space_group_name_Hall 'P 1'
_cell_length_a 7.316
_cell_length_b 11.848
_cell_length_c 12.149
_cell_angle_alpha 90.00
_cell_angle_beta 90.00
_cell_angle_gamma 90.00
loop_
_atom_site_label
_atom_site_type_symbol
_atom_site_fract_x
_atom_site_fract_y
_atom_site_fract_z
In1 In 0.250 0.000 0.174
In2 In 0.250 0.500 0.326
In3 In 0.750 0.000 0.826
In4 In 0.750 0.500 0.674
I1 I 0.021 0.055 0.678
I2 I 0.021 0.445 0.822
I3 I 0.166 0.181 0.036
I4 I 0.166 0.319 0.464
I5 I 0.334 0.681 0.464
I6 I 0.334 0.819 0.036
I7 I 0.479 0.555 0.822
I8 I 0.479 0.945 0.678
I9 I 0.521 0.055 0.322
I10 I 0.521 0.445 0.178
I11 I 0.666 0.181 0.964
I12 I 0.666 0.319 0.536
I13 I 0.834 0.681 0.536
I14 I 0.834 0.819 0.964
I15 I 0.979 0.555 0.178
I16 I 0.979 0.945 0.322
N1 N 0.173 0.750 0.750
N2 N 0.327 0.250 0.750
N3 N 0.673 0.750 0.250
N4 N 0.827 0.250 0.250
# SG: Pnna (52)
# Calculated density: 4014 kg/m³
# ΔE_f: 3.33 eV per formula unit
# Total magnetization: 2.53 μB/f.u.

What did the fifth record say?
# Mg3Bi3N5 (PBE, optimized geometry)
data_Mg3Bi3N5
_chemical_formula_sum 'Mg6 Bi6 N10'
_space_group_name_H-M_alt 'P 1'
_space_group_IT_number 1
_space_group_name_Hall 'P 1'
_cell_length_a 6.187
_cell_length_b 7.935
_cell_length_c 8.734
_cell_angle_alpha 98.03
_cell_angle_beta 104.05
_cell_angle_gamma 94.39
loop_
_atom_site_label
_atom_site_type_symbol
_atom_site_fract_x
_atom_site_fract_y
_atom_site_fract_z
Mg1 Mg 0.104 0.188 0.051
Mg2 Mg 0.126 0.394 0.741
Mg3 Mg 0.275 0.479 0.413
Mg4 Mg 0.725 0.521 0.587
Mg5 Mg 0.874 0.606 0.259
Mg6 Mg 0.896 0.812 0.949
Bi1 Bi 0.226 0.987 0.389
Bi2 Bi 0.280 0.756 0.715
Bi3 Bi 0.366 0.598 0.117
Bi4 Bi 0.634 0.402 0.883
Bi5 Bi 0.720 0.244 0.285
Bi6 Bi 0.774 0.013 0.611
N1 N 0.007 0.367 0.223
N2 N 0.142 0.955 0.144
N3 N 0.145 0.731 0.444
N4 N 0.318 0.344 0.959
N5 N 0.413 0.498 0.661
N6 N 0.587 0.502 0.339
N7 N 0.682 0.656 0.041
N8 N 0.855 0.269 0.556
N9 N 0.858 0.045 0.856
N10 N 0.993 0.633 0.777
# SG: P-1 (2)
# Calculated density: 6249 kg/m³
# ΔE_f: -1.12 eV per formula unit
# Total magnetization: 0.00 μB/f.u.